Computed, not measured: YbScO3 after structural relaxation at the r²SCAN level of DFT.

Lattice parameters (Å, degrees): 3.968 3.968 3.968 90.00 90.00 90.00
Positions (direct):
Yb 0.000 0.000 0.000
Sc 0.500 0.500 0.500
O 0.000 0.500 0.500
O 0.500 0.000 0.500
O 0.500 0.500 0.000

Values from the calculation:
Total magnetization (μB per cell): 0.00
Calculated formation energy (kJ per mole of atoms): -313
Total DFT energy (no corrections) (eV per atom): -16.411